[1]
# Sr2SmCu2Bi2O8, relaxed, DFT PBE
data_Sr2SmCu2Bi2O8
_chemical_formula_sum 'Sr4 Sm2 Cu4 Bi4 O16'
_space_group_name_H-M_alt 'I 4/m m m'
_space_group_IT_number 139
_space_group_name_Hall '-I 4 2'
_cell_length_a 3.814
_cell_length_b 3.814
_cell_length_c 30.773
_cell_angle_alpha 90.00
_cell_angle_beta 90.00
_cell_angle_gamma 90.00
loop_
_atom_site_label
_atom_site_fract_x
_atom_site_fract_y
_atom_site_fract_z
Sr1 0.000 0.000 0.115
Sm1 0.000 0.000 0.000
Cu1 0.000 0.000 0.446
Bi1 0.000 0.000 0.296
O1 0.000 0.000 0.202
O2 0.000 0.000 0.365
O3 0.000 0.500 0.051
# DFT total energy   -6.018 eV per atom
# Energy of formation from the pure elements   -32.106 eV/f.u.

***

[2]
# SrCuBiO4, relaxed, DFT PBE
data_SrCuBiO4
_chemical_formula_sum 'Sr4 Cu4 Bi4 O16'
_space_group_name_H-M_alt 'I 4/m m m'
_space_group_IT_number 139
_space_group_name_Hall '-I 4 2'
_cell_length_a 3.598
_cell_length_b 3.598
_cell_length_c 33.319
_cell_angle_alpha 90.00
_cell_angle_beta 90.00
_cell_angle_gamma 90.00
loop_
_atom_site_label
_atom_site_fract_x
_atom_site_fract_y
_atom_site_fract_z
Sr1 0.000 0.000 0.107
Cu1 0.000 0.000 0.459
Bi1 0.000 0.000 0.303
O1 0.000 0.000 0.198
O2 0.000 0.000 0.364
O3 0.000 0.500 0.054
# DFT total energy   -5.519 eV per atom
# Energy of formation from the pure elements   -11.912 eV/f.u.

***

[3]
# Sr2Cu2BiO7, relaxed, DFT PBE
data_Sr2Cu2BiO7
_chemical_formula_sum 'Sr8 Cu8 Bi4 O28'
_space_group_name_H-M_alt 'I m a 2'
_space_group_IT_number 46
_cell_length_a 27.539
_cell_length_b 5.175
_cell_length_c 5.128
_cell_angle_alpha 90.00
_cell_angle_beta 90.00
_cell_angle_gamma 90.00
loop_
_space_group_symop_operation_xyz
'x,y,z'
'-x,-y,z'
'-x+1/2,y,z'
'x+1/2,-y,z'
'x+1/2,y+1/2,z+1/2'
'-x+1/2,-y+1/2,z+1/2'
'-x,y+1/2,z+1/2'
'x,-y+1/2,z+1/2'
loop_
_atom_site_label
_atom_site_fract_x
_atom_site_fract_y
_atom_site_fract_z
Sr1 0.141 0.000 0.000
Cu1 0.061 0.001 0.499
Bi1 0.250 0.012 0.476
O1 0.075 0.749 0.749
O2 0.076 0.250 0.249
O3 0.171 0.506 0.002
O4 0.250 0.069 0.048
# DFT total energy   -5.472 eV per atom
# Energy of formation from the pure elements   -20.370 eV/f.u.

***

[4]
# Sr2CuBiO6, relaxed, DFT PBE
data_Sr2CuBiO6
_chemical_formula_sum 'Sr8 Cu4 Bi4 O24'
_space_group_name_H-M_alt 'F m -3 m'
_space_group_IT_number 225
_space_group_name_Hall '-F 4 2 3'
_cell_length_a 8.171
_cell_length_b 8.171
_cell_length_c 8.171
_cell_angle_alpha 90.00
_cell_angle_beta 90.00
_cell_angle_gamma 90.00
loop_
_atom_site_label
_atom_site_fract_x
_atom_site_fract_y
_atom_site_fract_z
Sr1 0.250 0.250 0.250
Cu1 0.000 0.000 0.000
Bi1 0.000 0.000 0.500
O1 0.000 0.000 0.240
# DFT total energy   -5.651 eV per atom
# Energy of formation from the pure elements   -19.574 eV/f.u.

***

[5]
# Sr10Cu5Bi10O29, relaxed, DFT PBE
data_Sr10Cu5Bi10O29
_chemical_formula_sum 'Sr40 Cu20 Bi40 O116'
_space_group_name_H-M_alt 'C 1 2 1'
_space_group_IT_number 5
_cell_length_a 27.237
_cell_length_b 5.403
_cell_length_c 26.974
_cell_angle_alpha 90.00
_cell_angle_beta 113.09
_cell_angle_gamma 90.00
loop_
_space_group_symop_operation_xyz
'x,y,z'
'-x,y,-z'
'x+1/2,y+1/2,z'
'-x+1/2,y+1/2,-z'
loop_
_atom_site_label
_atom_site_fract_x
_atom_site_fract_y
_atom_site_fract_z
Sr1 0.165 0.006 0.218
Sr2 0.167 0.494 0.328
Sr3 0.167 0.505 0.109
Sr4 0.174 0.996 0.428
Sr5 0.175 0.007 0.011
Sr6 0.182 0.492 0.528
Sr7 0.184 0.500 0.917
Sr8 0.190 0.000 0.822
Sr9 0.190 0.999 0.628
Sr10 0.192 0.496 0.726
Cu1 0.233 0.500 0.244
Cu2 0.235 0.003 0.144
Cu3 0.236 0.997 0.345
Cu4 0.244 0.503 0.048
Cu5 0.245 0.495 0.449
Bi1 0.046 0.576 0.182
Bi2 0.051 0.920 0.277
Bi3 0.055 0.008 0.070
Bi4 0.061 0.506 0.391
Bi5 0.061 0.548 0.967
Bi6 0.068 0.969 0.488
Bi7 0.071 0.981 0.867
Bi8 0.075 0.515 0.585
Bi9 0.075 0.517 0.771
Bi10 0.077 0.977 0.679
O1 0.052 0.930 0.147
O2 0.058 0.552 0.310
O3 0.064 0.631 0.048
O4 0.064 0.903 0.404
O5 0.069 0.935 0.950
O6 0.071 0.582 0.858
O7 0.072 0.573 0.500
O8 0.077 0.916 0.769
O9 0.078 0.914 0.592
O10 0.080 0.577 0.682
O11 0.133 0.993 0.306
O12 0.136 0.063 0.109
O13 0.143 0.484 0.998
O14 0.144 0.470 0.420
O15 0.150 0.016 0.518
O16 0.154 0.016 0.901
O17 0.158 0.479 0.618
O18 0.158 0.480 0.807
O19 0.160 0.014 0.713
O20 0.229 0.745 0.192
O21 0.230 0.256 0.294
O22 0.230 0.751 0.292
O23 0.236 0.248 0.197
O24 0.238 0.758 0.094
O25 0.239 0.744 0.397
O26 0.240 0.254 0.097
O27 0.242 0.245 0.398
O28 0.248 0.746 0.499
O29 0.250 0.250 0.001
# DFT total energy   -5.717 eV per atom
# Energy of formation from the pure elements   -108.870 eV/f.u.
# Excess energy over the best structure of this formula in the dataset   13 meV per atom

***

[6]
# Sr4Cu2Bi4O13, relaxed, DFT PBE
data_Sr4Cu2Bi4O13
_chemical_formula_sum 'Sr8 Cu4 Bi8 O26'
_space_group_name_H-M_alt 'C 1 2 1'
_space_group_IT_number 5
_cell_length_a 5.715
_cell_length_b 24.859
_cell_length_c 5.643
_cell_angle_alpha 90.00
_cell_angle_beta 92.09
_cell_angle_gamma 90.00
loop_
_space_group_symop_operation_xyz
'x,y,z'
'-x,y,-z'
'x+1/2,y+1/2,z'
'-x+1/2,y+1/2,-z'
loop_
_atom_site_label
_atom_site_fract_x
_atom_site_fract_y
_atom_site_fract_z
Sr1 0.240 0.000 0.261
Sr2 0.245 0.861 0.249
Cu1 0.248 0.425 0.248
Bi1 0.247 0.108 0.771
Bi2 0.249 0.247 0.258
O1 0.000 0.075 0.000
O2 0.000 0.090 0.500
O3 0.000 0.211 0.000
O4 0.000 0.276 0.500
O5 0.000 0.420 0.000
O6 0.000 0.423 0.500
O7 0.000 0.705 0.500
O8 0.000 0.930 0.500
O9 0.000 0.934 0.000
O10 0.145 0.530 0.263
O11 0.187 0.829 0.792
# DFT total energy   -5.688 eV per atom
# Energy of formation from the pure elements   -44.905 eV/f.u.

***

[7]
# Sr10Cu5Bi10O29, relaxed, DFT PBE
data_Sr10Cu5Bi10O29
_chemical_formula_sum 'Sr20 Cu10 Bi20 O58'
_space_group_name_H-M_alt 'P 1'
_space_group_IT_number 1
_cell_length_a 5.424
_cell_length_b 13.979
_cell_length_c 25.231
_cell_angle_alpha 81.84
_cell_angle_beta 83.92
_cell_angle_gamma 79.07
loop_
_space_group_symop_operation_xyz
'x,y,z'
loop_
_atom_site_label
_atom_site_fract_x
_atom_site_fract_y
_atom_site_fract_z
Sr1 0.000 0.000 0.000
Sr2 0.000 0.195 0.806
Sr3 0.111 0.414 0.355
Sr4 0.116 0.593 0.159
Sr5 0.123 0.206 0.545
Sr6 0.133 0.762 0.958
Sr7 0.144 0.983 0.737
Sr8 0.471 0.746 0.301
Sr9 0.485 0.914 0.100
Sr10 0.486 0.526 0.518
Sr11 0.497 0.092 0.902
Sr12 0.500 0.298 0.709
Sr13 0.617 0.507 0.258
Sr14 0.620 0.313 0.451
Sr15 0.630 0.675 0.059
Sr16 0.642 0.094 0.639
Sr17 0.646 0.870 0.847
Sr18 0.982 0.832 0.201
Sr19 0.983 0.638 0.411
Sr20 0.995 0.414 0.615
Cu1 0.042 0.629 0.284
Cu2 0.048 0.429 0.484
Cu3 0.060 0.795 0.078
Cu4 0.068 0.194 0.676
Cu5 0.076 0.974 0.872
Cu6 0.543 0.533 0.384
Cu7 0.550 0.713 0.181
Cu8 0.557 0.312 0.580
Cu9 0.571 0.878 0.974
Cu10 0.576 0.078 0.773
Bi1 0.247 0.320 0.216
Bi2 0.249 0.135 0.402
Bi3 0.253 0.486 0.021
Bi4 0.294 0.911 0.595
Bi5 0.366 0.637 0.813
Bi6 0.377 0.022 0.238
Bi7 0.398 0.186 0.045
Bi8 0.405 0.368 0.863
Bi9 0.429 0.600 0.660
Bi10 0.436 0.838 0.447
Bi11 0.692 0.572 0.911
Bi12 0.706 0.231 0.309
Bi13 0.707 0.404 0.118
Bi14 0.713 0.030 0.495
Bi15 0.757 0.792 0.699
Bi16 0.778 0.926 0.353
Bi17 0.851 0.103 0.141
Bi18 0.869 0.276 0.950
Bi19 0.878 0.484 0.760
Bi20 0.884 0.714 0.556
O1 0.013 0.589 0.521
O2 0.128 0.265 0.435
O3 0.128 0.453 0.247
O4 0.132 0.623 0.048
O5 0.148 0.041 0.627
O6 0.293 0.586 0.335
O7 0.294 0.670 0.232
O8 0.296 0.478 0.432
O9 0.302 0.562 0.939
O10 0.304 0.236 0.310
O11 0.304 0.369 0.531
O12 0.306 0.752 0.129
O13 0.307 0.402 0.129
O14 0.309 0.050 0.488
O15 0.312 0.254 0.628
O16 0.316 0.835 0.026
O17 0.325 0.019 0.820
O18 0.325 0.923 0.922
O19 0.327 0.137 0.723
O20 0.376 0.838 0.677
O21 0.419 0.887 0.209
O22 0.424 0.945 0.318
O23 0.434 0.466 0.633
O24 0.441 0.056 0.010
O25 0.444 0.248 0.821
O26 0.455 0.505 0.771
O27 0.460 0.107 0.127
O28 0.468 0.276 0.943
O29 0.518 0.671 0.579
O30 0.643 0.322 0.220
O31 0.645 0.482 0.034
O32 0.646 0.144 0.398
O33 0.662 0.710 0.775
O34 0.664 0.363 0.341
O35 0.664 0.717 0.927
O36 0.669 0.944 0.579
O37 0.674 0.538 0.148
O38 0.676 0.159 0.530
O39 0.746 0.912 0.739
O40 0.778 0.027 0.223
O41 0.787 0.487 0.436
O42 0.789 0.585 0.336
O43 0.794 0.672 0.232
O44 0.798 0.190 0.034
O45 0.802 0.371 0.858
O46 0.802 0.793 0.479
O47 0.803 0.757 0.130
O48 0.804 0.373 0.534
O49 0.809 0.255 0.629
O50 0.812 0.838 0.026
O51 0.819 0.030 0.825
O52 0.822 0.138 0.725
O53 0.824 0.564 0.677
O54 0.831 0.921 0.923
O55 0.938 0.794 0.323
O56 0.945 0.351 0.729
O57 0.978 0.972 0.110
O58 0.986 0.146 0.915
# DFT total energy   -5.730 eV per atom
# Energy of formation from the pure elements   -109.570 eV/f.u.
# Excess energy over the best structure of this formula in the dataset   0 meV per atom

***

Question: Which of these has the highest DFT total energy?
Answer: Sr2Cu2BiO7